Compound: MgAu3
Source: Materials Project
Functional: r²SCAN
Structure: relaxed

Cell: 5.789 5.789 4.776 Å, 90.00 90.00 120.00°
Atoms (fractional coordinates):
1 Mg 0.333 0.667 0.250
2 Mg 0.667 0.333 0.750
3 Au 0.168 0.336 0.750
4 Au 0.168 0.832 0.750
5 Au 0.336 0.168 0.250
6 Au 0.664 0.832 0.750
7 Au 0.832 0.168 0.250
8 Au 0.832 0.664 0.250

formation energy: -0.418 eV/atom
VASP energy: -315.192 eV for the cell shown
crystal system: hexagonal



Compound: MgAu5
Source: Materials Project
Functional: r²SCAN
Structure: relaxed

Cell: 5.601 5.601 5.601 Å, 53.25 53.25 53.25°
Atoms (fractional coordinates):
1 Mg 0.000 0.000 0.000
2 Au 0.166 0.834 0.500
3 Au 0.333 0.333 0.333
4 Au 0.500 0.166 0.834
5 Au 0.667 0.667 0.667
6 Au 0.834 0.500 0.166

formation energy: -0.262 eV/atom
VASP energy: -258.668 eV for the cell shown
crystal system: trigonal



Compound: MgAu3
Source: Materials Project
Functional: r²SCAN
Structure: relaxed

Cell: 4.107 4.107 4.107 Å, 90.00 90.00 90.00°
Atoms (fractional coordinates):
1 Mg 0.000 0.000 0.000
2 Au 0.000 0.500 0.500
3 Au 0.500 0.000 0.500
4 Au 0.500 0.500 0.000

formation energy: -0.398 eV/atom
VASP energy: -157.517 eV for the cell shown
crystal system: cubic